Compound: TmZnGe
Source: the Materials Project database
Functional: r²SCAN
Structure: optimized geometry

## Properties
Calculated total energy in eV per atom: -20.03
Density in Mg/m³: 8.810
Spin magnetization in μB/atom: 0.00
Symmetry: No. 194
ΔE_f in meV/atom: -730
Volume in Å³ per cell: 231

Cell and atoms, written as POSCAR:
```
TmZnGe
1.0
4.158 0.000 0.000
-2.079 3.601 0.000
0.000 0.000 15.459
Tm Zn Ge
4 4 4
direct
0.000 0.000 0.000
0.000 0.000 0.250
0.000 0.000 0.500
0.000 0.000 0.750
0.333 0.667 0.149
0.333 0.667 0.351
0.667 0.333 0.649
0.667 0.333 0.851
0.333 0.667 0.613
0.333 0.667 0.887
0.667 0.333 0.113
0.667 0.333 0.387
```

Compound: UGe3
Source: the Materials Project database
Functional: r²SCAN
Structure: optimized geometry

## Properties
Calculated total energy in eV per atom: -30.69
Density in Mg/m³: 10.095
Spin magnetization in μB/atom: 0.33
Symmetry: No. 221
ΔE_f in meV/atom: -301
Volume in Å³ per cell: 75

Cell and atoms, written as POSCAR:
```
UGe3
1.0
4.217 0.000 0.000
0.000 4.217 0.000
0.000 0.000 4.217
U Ge
1 3
direct
0.000 0.000 0.000
0.000 0.500 0.500
0.500 0.000 0.500
0.500 0.500 0.000
```

Compound: U3Ge
Source: the Materials Project database
Functional: r²SCAN
Structure: optimized geometry

## Properties
Calculated total energy in eV per atom: -63.55
Density in Mg/m³: 16.817
Spin magnetization in μB/atom: 0.00
Symmetry: No. 139
ΔE_f in meV/atom: -121
Volume in Å³ per cell: 78
ΔE to the lowest computed polymorph in meV per atom: 68

Cell and atoms, written as POSCAR:
```
U3Ge
1.0
-2.154 2.154 4.185
2.154 -2.154 4.185
2.154 2.154 -4.185
U Ge
3 1
direct
0.000 0.000 0.000
0.250 0.750 0.500
0.750 0.250 0.500
0.500 0.500 0.000
```

Compound: U3Ge
Source: the Materials Project database
Functional: r²SCAN
Structure: optimized geometry

## Properties
Calculated total energy in eV per atom: -63.61
Density in Mg/m³: 16.568
Spin magnetization in μB/atom: 0.52
Symmetry: No. 221
ΔE_f in meV/atom: -189
Volume in Å³ per cell: 79
ΔE to the lowest computed polymorph in meV per atom: 0

Cell and atoms, written as POSCAR:
```
U3Ge
1.0
4.288 0.000 0.000
0.000 4.288 0.000
0.000 0.000 4.288
U Ge
3 1
direct
0.000 0.000 0.500
0.000 0.500 0.000
0.500 0.000 0.000
0.500 0.500 0.500
```

Compound: VGe2
Source: the Materials Project database
Functional: r²SCAN
Structure: optimized geometry

## Properties
Calculated total energy in eV per atom: -14.08
Density in Mg/m³: 7.521
Spin magnetization in μB/atom: 0.12
Symmetry: No. 180
ΔE_f in meV/atom: -134
Volume in Å³ per cell: 130

Cell and atoms, written as POSCAR:
```
VGe2
1.0
4.774 0.000 0.000
-2.387 4.135 0.000
0.000 0.000 6.584
V Ge
3 6
direct
0.000 0.500 0.167
0.500 0.000 0.500
0.500 0.500 0.833
0.166 0.332 0.500
0.166 0.834 0.833
0.332 0.166 0.167
0.668 0.834 0.167
0.834 0.166 0.833
0.834 0.668 0.500
```

Compound: V3Ge
Source: the Materials Project database
Functional: r²SCAN
Structure: optimized geometry

## Properties
Calculated total energy in eV per atom: -14.41
Density in Mg/m³: 7.030
Spin magnetization in μB/atom: 0.16
Symmetry: No. 223
ΔE_f in meV/atom: -377
Volume in Å³ per cell: 107

Cell and atoms, written as POSCAR:
```
V3Ge
1.0
4.740 0.000 0.000
0.000 4.740 0.000
0.000 0.000 4.740
V Ge
6 2
direct
0.000 0.250 0.500
0.000 0.750 0.500
0.250 0.500 0.000
0.500 0.000 0.250
0.500 0.000 0.750
0.750 0.500 0.000
0.000 0.000 0.000
0.500 0.500 0.500
```

Compound: ZrVGe
Source: the Materials Project database
Functional: r²SCAN
Structure: optimized geometry

## Properties
Calculated total energy in eV per atom: -17.65
Density in Mg/m³: 7.040
Spin magnetization in μB/atom: 0.00
Symmetry: No. 139
ΔE_f in meV/atom: -742
Volume in Å³ per cell: 101

Cell and atoms, written as POSCAR:
```
ZrVGe
1.0
-1.868 1.868 7.264
1.868 -1.868 7.264
1.868 1.868 -7.264
Zr V Ge
2 2 2
direct
0.176 0.176 0.000
0.824 0.824 0.000
0.000 0.500 0.500
0.500 0.000 0.500
0.373 0.373 0.000
0.627 0.627 0.000
```

Compound: Ge2W
Source: the Materials Project database
Functional: r²SCAN
Structure: optimized geometry

## Properties
Calculated total energy in eV per atom: -26.30
Density in Mg/m³: 11.567
Spin magnetization in μB/atom: 0.00
Symmetry: No. 62
ΔE_f in meV/atom: 68
Volume in Å³ per cell: 189

Cell and atoms, written as POSCAR:
```
Ge2W
1.0
6.378 0.000 0.000
0.000 3.469 0.000
0.000 0.000 8.543
Ge W
8 4
direct
0.065 0.250 0.131
0.134 0.250 0.540
0.366 0.750 0.040
0.435 0.750 0.631
0.565 0.250 0.369
0.634 0.250 0.960
0.866 0.750 0.460
0.935 0.750 0.869
0.249 0.250 0.829
0.251 0.750 0.329
0.749 0.250 0.671
0.751 0.750 0.171
```

Compound: Ge2W
Source: the Materials Project database
Functional: r²SCAN
Structure: optimized geometry

## Properties
Calculated total energy in eV per atom: -26.24
Density in Mg/m³: 12.093
Spin magnetization in μB/atom: 0.00
Symmetry: No. 139
ΔE_f in meV/atom: 127
Volume in Å³ per cell: 45

Cell and atoms, written as POSCAR:
```
Ge2W
1.0
-1.662 1.662 4.089
1.662 -1.662 4.089
1.662 1.662 -4.089
Ge W
2 1
direct
0.162 0.162 0.000
0.838 0.838 0.000
0.500 0.500 0.000
```

Compound: Y5Ge4
Source: the Materials Project database
Functional: r²SCAN
Structure: optimized geometry

## Properties
Calculated total energy in eV per atom: -18.45
Density in Mg/m³: 5.601
Spin magnetization in μB/atom: 0.00
Symmetry: No. 62
ΔE_f in meV/atom: -996
Volume in Å³ per cell: 872

Cell and atoms, written as POSCAR:
```
Y5Ge4
1.0
7.666 0.000 0.000
0.000 14.719 0.000
0.000 0.000 7.726
Y Ge
20 16
direct
0.036 0.103 0.174
0.036 0.397 0.174
0.117 0.616 0.341
0.117 0.884 0.341
0.219 0.250 0.503
0.281 0.750 0.003
0.383 0.116 0.841
0.383 0.384 0.841
0.464 0.603 0.674
0.464 0.897 0.674
0.536 0.103 0.326
0.536 0.397 0.326
0.617 0.616 0.159
0.617 0.884 0.159
0.719 0.250 0.997
0.781 0.750 0.497
0.883 0.116 0.659
0.883 0.384 0.659
0.964 0.603 0.826
0.964 0.897 0.826
0.088 0.250 0.882
0.160 0.750 0.637
0.225 0.046 0.529
0.225 0.454 0.529
0.275 0.546 0.029
0.275 0.954 0.029
0.340 0.250 0.137
0.412 0.750 0.382
0.588 0.250 0.618
0.660 0.750 0.863
0.725 0.046 0.971
0.725 0.454 0.971
0.775 0.546 0.471
0.775 0.954 0.471
0.840 0.250 0.363
0.912 0.750 0.118
```

Compound: YZnGe
Source: the Materials Project database
Functional: r²SCAN
Structure: optimized geometry

## Properties
Calculated total energy in eV per atom: -15.14
Density in Mg/m³: 6.245
Spin magnetization in μB/atom: 0.00
Symmetry: No. 194
ΔE_f in meV/atom: -775
Volume in Å³ per cell: 241

Cell and atoms, written as POSCAR:
```
YZnGe
1.0
4.186 0.000 0.000
-2.093 3.625 0.000
0.000 0.000 15.909
Y Zn Ge
4 4 4
direct
0.000 0.000 0.000
0.000 0.000 0.250
0.000 0.000 0.500
0.000 0.000 0.750
0.333 0.667 0.145
0.333 0.667 0.355
0.667 0.333 0.645
0.667 0.333 0.855
0.333 0.667 0.615
0.333 0.667 0.885
0.667 0.333 0.115
0.667 0.333 0.385
```

Compound: YbGe3
Source: the Materials Project database
Functional: r²SCAN
Structure: optimized geometry

## Properties
Calculated total energy in eV per atom: -19.80
Density in Mg/m³: 8.386
Spin magnetization in μB/atom: 0.00
Symmetry: No. 194
ΔE_f in meV/atom: -266
Volume in Å³ per cell: 155

Cell and atoms, written as POSCAR:
```
YbGe3
1.0
5.871 0.000 0.000
-2.935 5.084 0.000
0.000 0.000 5.187
Yb Ge
2 6
direct
0.333 0.667 0.250
0.667 0.333 0.750
0.157 0.314 0.750
0.157 0.843 0.750
0.314 0.157 0.250
0.686 0.843 0.750
0.843 0.157 0.250
0.843 0.686 0.250
```